## Mg6AlNi (PBE)

Data for crystalline Mg6AlNi at its relaxed geometry.

Calculated values
As for the offset from the most stable computed form: 0.000 eV/atom.

Cell lengths 4.728, 6.180, 10.529 Å; angles 90.00, 90.00, 90.00 degrees
Positions (direct):
Mg (0.000, 0.263, 0.089)
Mg (0.000, 0.737, 0.089)
Mg (0.000, 0.500, 0.833)
Mg (0.500, 0.244, 0.910)
Mg (0.500, 0.756, 0.910)
Mg (0.500, 0.500, 0.664)
Mg (0.000, 0.763, 0.589)
Mg (0.000, 0.237, 0.589)
Mg (0.000, 0.000, 0.333)
Mg (0.500, 0.744, 0.410)
Mg (0.500, 0.256, 0.410)
Mg (0.500, 0.000, 0.164)
Al (0.000, 0.500, 0.322)
Al (0.000, 0.000, 0.822)
Ni (0.500, 0.500, 0.183)
Ni (0.500, 0.000, 0.683)



## Ba6LiNb2IrCl2O12 (PBE)

Data for crystalline Ba6LiNb2IrCl2O12 at its relaxed geometry.

Calculated values
As for the offset from the most stable computed form: 0.014 eV/atom. Its space group is No. 156.

Cell lengths 5.964, 5.964, 15.560 Å; angles 90.00, 90.00, 120.00 degrees
Positions (direct):
Ba (0.333, 0.667, 0.381)
Ba (0.333, 0.667, 0.787)
Ba (0.667, 0.333, 0.641)
Ba (0.667, 0.333, 0.919)
Ba (0.333, 0.667, 0.036)
Ba (0.667, 0.333, 0.207)
Li (0.333, 0.667, 0.209)
Nb (0.000, 0.000, 0.817)
Nb (0.000, 0.000, 0.183)
Ir (0.000, 0.000, 0.001)
Cl (0.667, 0.333, 0.425)
Cl (0.333, 0.667, 0.582)
O (0.155, 0.310, 0.913)
O (0.327, 0.163, 0.759)
O (0.164, 0.328, 0.247)
O (0.837, 0.673, 0.759)
O (0.837, 0.163, 0.759)
O (0.848, 0.697, 0.088)
O (0.164, 0.836, 0.247)
O (0.303, 0.152, 0.088)
O (0.848, 0.152, 0.088)
O (0.690, 0.845, 0.913)
O (0.672, 0.836, 0.247)
O (0.155, 0.845, 0.913)



## Nb4B3C2 (PBE)

Data for crystalline Nb4B3C2 at its relaxed geometry.

Calculated values
Its space group is No. 63.

Cell lengths 19.019, 19.019, 3.154 Å; angles 90.00, 90.00, 170.18 degrees
Positions (direct):
Nb (0.536, 0.464, 0.250)
Nb (0.464, 0.536, 0.750)
Nb (0.605, 0.395, 0.750)
Nb (0.395, 0.605, 0.250)
Nb (0.719, 0.281, 0.750)
Nb (0.281, 0.719, 0.250)
Nb (0.162, 0.838, 0.250)
Nb (0.838, 0.162, 0.750)
B (0.085, 0.915, 0.250)
B (0.915, 0.085, 0.750)
B (0.940, 0.060, 0.250)
B (0.060, 0.940, 0.750)
B (0.988, 0.012, 0.250)
B (0.012, 0.988, 0.750)
C (0.662, 0.338, 0.750)
C (0.338, 0.662, 0.250)
C (0.780, 0.220, 0.750)
C (0.220, 0.780, 0.250)



## Na3Th6ZnF29 (PBE)

Data for crystalline Na3Th6ZnF29 at its relaxed geometry.

Calculated values
Its space group is No. 5.

Cell lengths 10.148, 10.148, 13.324 Å; angles 89.50, 89.50, 59.53 degrees
Positions (direct):
Na (0.007, 0.005, 0.733)
Na (0.995, 0.993, 0.267)
Na (0.336, 0.334, 0.410)
Na (0.666, 0.664, 0.590)
Na (0.331, 0.334, 0.910)
Na (0.666, 0.669, 0.090)
Th (0.661, 0.925, 0.849)
Th (0.399, 0.672, 0.851)
Th (0.924, 0.399, 0.853)
Th (0.328, 0.601, 0.149)
Th (0.075, 0.339, 0.151)
Th (0.601, 0.076, 0.147)
Th (0.922, 0.681, 0.357)
Th (0.398, 0.925, 0.350)
Th (0.678, 0.398, 0.352)
Th (0.075, 0.602, 0.650)
Th (0.319, 0.078, 0.643)
Th (0.602, 0.322, 0.648)
Zn (0.004, 0.996, 0.000)
Zn (0.000, 0.000, 0.500)
F (0.307, 0.562, 0.968)
F (0.132, 0.295, 0.972)
F (0.560, 0.131, 0.965)
F (0.705, 0.868, 0.028)
F (0.438, 0.693, 0.032)
F (0.869, 0.440, 0.035)
F (0.866, 0.697, 0.537)
F (0.438, 0.870, 0.532)
F (0.693, 0.438, 0.533)
F (0.130, 0.562, 0.468)
F (0.303, 0.134, 0.463)
F (0.562, 0.307, 0.467)
F (0.467, 0.412, 0.803)
F (0.118, 0.463, 0.805)
F (0.412, 0.118, 0.802)
F (0.537, 0.882, 0.195)
F (0.588, 0.533, 0.197)
F (0.882, 0.588, 0.198)
F (0.191, 0.687, 0.770)
F (0.118, 0.191, 0.768)
F (0.700, 0.112, 0.778)
F (0.809, 0.882, 0.232)
F (0.313, 0.809, 0.230)
F (0.888, 0.300, 0.222)
F (0.817, 0.107, 0.595)
F (0.073, 0.817, 0.594)
F (0.106, 0.077, 0.592)
F (0.183, 0.927, 0.406)
F (0.893, 0.183, 0.405)
F (0.923, 0.894, 0.408)
F (0.339, 0.487, 0.616)
F (0.171, 0.342, 0.614)
F (0.489, 0.171, 0.618)
F (0.658, 0.829, 0.386)
F (0.513, 0.661, 0.384)
F (0.829, 0.511, 0.382)
F (0.825, 0.661, 0.888)
F (0.504, 0.831, 0.888)
F (0.660, 0.513, 0.886)
F (0.169, 0.496, 0.112)
F (0.339, 0.175, 0.112)
F (0.487, 0.340, 0.114)
F (0.587, 0.878, 0.697)
F (0.533, 0.584, 0.698)
F (0.879, 0.537, 0.701)
F (0.416, 0.467, 0.302)
F (0.122, 0.413, 0.303)
F (0.463, 0.121, 0.299)
F (0.888, 0.814, 0.753)
F (0.311, 0.881, 0.733)
F (0.810, 0.308, 0.737)
F (0.119, 0.689, 0.267)
F (0.186, 0.112, 0.247)
F (0.692, 0.190, 0.263)
F (0.169, 0.892, 0.905)
F (0.929, 0.179, 0.921)
F (0.108, 0.831, 0.095)
F (0.821, 0.071, 0.079)



## Ru3F (PBE)

Data for crystalline Ru3F at its relaxed geometry.

Calculated values
Its space group is No. 225.

Cell lengths 4.216, 4.216, 4.216 Å; angles 60.00, 60.00, 60.00 degrees
Positions (direct):
Ru (0.750, 0.750, 0.750)
Ru (0.250, 0.250, 0.250)
Ru (0.500, 0.500, 0.500)
F (0.000, 0.000, 0.000)



## Ce5Pb3O (PBE)

Data for crystalline Ce5Pb3O at its relaxed geometry.

Calculated values
Its space group is No. 140.

Cell lengths 9.410, 9.410, 9.410 Å; angles 125.62, 125.62, 80.51 degrees
Positions (direct):
Ce (0.002, 0.193, 0.500)
Ce (0.807, 0.307, 0.809)
Ce (0.502, 0.002, 0.809)
Ce (0.498, 0.998, 0.191)
Ce (0.998, 0.807, 0.500)
Ce (0.500, 0.500, 0.000)
Ce (0.193, 0.693, 0.191)
Ce (0.693, 0.502, 0.500)
Ce (0.307, 0.498, 0.500)
Ce (0.000, 0.000, 0.000)
Pb (0.855, 0.355, 0.211)
Pb (0.145, 0.645, 0.789)
Pb (0.355, 0.145, 0.500)
Pb (0.750, 0.750, 0.000)
Pb (0.645, 0.855, 0.500)
Pb (0.250, 0.250, 0.000)
O (0.750, 0.250, 0.500)
O (0.250, 0.750, 0.500)



## TbEu4S5 (PBE)

Data for crystalline TbEu4S5 at its relaxed geometry.

Calculated values
Its space group is No. 139.

Cell lengths 14.741, 14.741, 14.741 Å; angles 164.05, 164.05, 22.63 degrees
Positions (direct):
Tb (0.000, 0.000, 0.000)
Eu (0.401, 0.401, 0.000)
Eu (0.800, 0.800, 0.000)
Eu (0.200, 0.200, 0.000)
Eu (0.599, 0.599, 0.000)
S (0.096, 0.096, 0.000)
S (0.500, 0.500, 0.000)
S (0.904, 0.904, 0.000)
S (0.300, 0.300, 0.000)
S (0.700, 0.700, 0.000)



## Dy4MgS7 (PBE)

Data for crystalline Dy4MgS7 at its relaxed geometry.

Calculated values
Its space group is No. 8.

Cell lengths 6.591, 6.591, 11.518 Å; angles 75.40, 75.40, 33.63 degrees
Positions (direct):
Dy (0.693, 0.693, 0.204)
Dy (0.307, 0.307, 0.801)
Dy (0.000, 0.000, 0.006)
Dy (0.114, 0.114, 0.568)
Mg (0.885, 0.885, 0.422)
S (0.743, 0.743, 0.640)
S (0.267, 0.267, 0.353)
S (0.339, 0.339, 0.051)
S (0.660, 0.660, 0.949)
S (0.036, 0.036, 0.224)
S (0.962, 0.962, 0.785)
S (0.495, 0.495, 0.497)



Formation energy from the elements values (in eV/atom) by entry order: 0.0116; -2.7803; -0.5932; -4.1172; 0.2419; -1.0331; -2.3686; -2.2373.
DFT total energy values (in eV per cell) by entry order: -38.07; -164.02; -168.48; -504.81; -28.31; -108.72; -87.52; -72.31.